Record 1
Ni8P3 | PBE-GGA | relaxed

- formation enthalpy at 0 K (eV/atom) = -0.457
- space-group type = R-3c

a = 13.1977 Å, b = 13.1977 Å, c = 13.1977 Å
α = 28.86°, β = 28.86°, γ = 28.86°
Positions (direct):
Ni1 0.6197 0.1547 0.3863
Ni2 0.1547 0.3863 0.6197
Ni3 0.8453 0.6137 0.3803
Ni4 0.6137 0.3803 0.8453
Ni5 0.3803 0.8453 0.6137
Ni6 0.1137 0.3453 0.8803
Ni7 0.3453 0.8803 0.1137
Ni8 0.8803 0.1137 0.3453
Ni9 0.5172 0.1433 0.7896
Ni10 0.1433 0.7896 0.5172
Ni11 0.7896 0.5172 0.1433
Ni12 0.6433 0.0172 0.2896
Ni13 0.0172 0.2896 0.6433
Ni14 0.2896 0.6433 0.0172
Ni15 0.9828 0.7104 0.3567
Ni16 0.7104 0.3567 0.9828
Ni17 0.3567 0.9828 0.7104
Ni18 0.2104 0.4828 0.8567
Ni19 0.4828 0.8567 0.2104
Ni20 0.8567 0.2104 0.4828
Ni21 0.3863 0.6197 0.1547
Ni22 0.6547 0.1197 0.8863
Ni23 0.8863 0.6547 0.1197
Ni24 0.1197 0.8863 0.6547
Ni25 0.4418 0.4418 0.4418
Ni26 0.9418 0.9418 0.9418
Ni27 0.2813 0.2813 0.2813
Ni28 0.7813 0.7813 0.7813
Ni29 0.5582 0.5582 0.5582
Ni30 0.0582 0.0582 0.0582
Ni31 0.2187 0.2187 0.2187
Ni32 0.7187 0.7187 0.7187
P1 0.0679 0.7500 0.4321
P2 0.4321 0.0679 0.7500
P3 0.7500 0.4321 0.0679
P4 0.5679 0.9321 0.2500
P5 0.2500 0.5679 0.9321
P6 0.9321 0.2500 0.5679
P7 0.3412 0.3412 0.3412
P8 0.8412 0.8412 0.8412
P9 0.6588 0.6588 0.6588
P10 0.1588 0.1588 0.1588
P11 0.5000 0.5000 0.5000
P12 0.0000 0.0000 0.0000

---

Record 2
NiP2 | PBE-GGA | relaxed

- formation enthalpy at 0 K (eV/atom) = -0.372
- space-group type = Pa-3

a = 5.4528 Å, b = 5.4528 Å, c = 5.4528 Å
α = 90.00°, β = 90.00°, γ = 90.00°
Positions (direct):
Ni1 0.0000 0.5000 0.5000
Ni2 0.5000 0.5000 0.0000
Ni3 0.5000 0.0000 0.5000
Ni4 0.0000 0.0000 0.0000
P1 0.3839 0.1161 0.8839
P2 0.1161 0.8839 0.3839
P3 0.8839 0.3839 0.1161
P4 0.6161 0.6161 0.6161
P5 0.3839 0.3839 0.3839
P6 0.1161 0.6161 0.8839
P7 0.8839 0.1161 0.6161
P8 0.6161 0.8839 0.1161

---

Record 3
NiP | PBE-GGA | relaxed

- formation enthalpy at 0 K (eV/atom) = -0.429
- space-group type = Cmc2_1

a = 12.3886 Å, b = 12.3886 Å, c = 4.9083 Å
α = 90.00°, β = 90.00°, γ = 152.13°
Positions (direct):
Ni1 0.5090 0.3842 0.4248
Ni2 0.3842 0.5090 0.4248
Ni3 0.4910 0.6158 0.9248
Ni4 0.6158 0.4910 0.9248
Ni5 0.7950 0.0923 0.4113
Ni6 0.0923 0.7950 0.4113
Ni7 0.2050 0.9077 0.9113
Ni8 0.9077 0.2050 0.9113
Ni9 0.3531 0.7657 0.3784
Ni10 0.7657 0.3531 0.3784
Ni11 0.6469 0.2343 0.8784
Ni12 0.2343 0.6469 0.8784
Ni13 0.9487 0.9487 0.8987
Ni14 0.0513 0.0513 0.3987
P1 0.2523 0.1148 0.0964
P2 0.1148 0.2523 0.0964
P3 0.7477 0.8852 0.5964
P4 0.8852 0.7477 0.5964
P5 0.5468 0.8372 0.0676
P6 0.8372 0.5468 0.0676
P7 0.4532 0.1628 0.5676
P8 0.1628 0.4532 0.5676
P9 0.4037 0.9816 0.2227
P10 0.9816 0.4037 0.2227
P11 0.5963 0.0184 0.7227
P12 0.0184 0.5963 0.7227
P13 0.6866 0.6866 0.2351
P14 0.3134 0.3134 0.7351

---

Record 4
NiP4 | PBE-GGA | relaxed

- formation enthalpy at 0 K (eV/atom) = -0.164
- space-group type = P2_1/c

a = 14.0200 Å, b = 4.7918 Å, c = 7.0114 Å
α = 78.41°, β = 90.00°, γ = 90.00°
Positions (direct):
Ni1 0.5000 0.0000 0.5000
Ni2 0.6699 0.8605 0.8833
Ni3 0.0000 0.0000 0.0000
Ni4 0.8301 0.8605 0.3833
Ni5 0.1699 0.1395 0.6167
Ni6 0.3301 0.1395 0.1167
P1 0.2724 0.9217 0.8711
P2 0.2276 0.9217 0.3711
P3 0.0519 0.7909 0.7533
P4 0.3846 0.7422 0.7027
P5 0.4481 0.7909 0.2533
P6 0.6073 0.6452 0.6407
P7 0.9455 0.6241 0.5736
P8 0.7822 0.5001 0.9572
P9 0.1154 0.7422 0.2027
P10 0.8927 0.6452 0.1407
P11 0.2822 0.4999 0.5428
P12 0.5545 0.6241 0.0736
P13 0.4455 0.3759 0.9264
P14 0.7178 0.5001 0.4572
P15 0.1073 0.3548 0.8593
P16 0.8846 0.2578 0.7973
P17 0.2178 0.4999 0.0428
P18 0.0545 0.3759 0.4264
P19 0.3927 0.3548 0.3593
P20 0.5519 0.2091 0.7467
P21 0.6154 0.2578 0.2973
P22 0.9481 0.2091 0.2467
P23 0.7724 0.0783 0.6289
P24 0.7276 0.0783 0.1289

---

Q: The highest formation enthalpy at 0 K belongs to which entry?
A: NiP4

---

Q: Among the records above, which one has the lowest formation enthalpy at 0 K?
A: Ni8P3